A geometry-optimized MgMn5O9F structure. Source: the Materials Project, functional PBE with a Hubbard U.

Computed properties:
E: -112.13 eV per cell
Space-group type: P1
Polymorph energy (0 for the lowest one): 23 meV/atom
Energy of formation from the pure elements: -2.0786 eV/atom

abc: 5.259 5.142 8.105
angles: 108.98 77.51 78.87
Fractional positions:
Mg 0.507 0.806 0.109
Mn 0.973 0.199 0.404
Mn 0.006 0.007 0.007
Mn 0.015 0.598 0.199
Mn 0.968 0.796 0.596
Mn 0.012 0.405 0.792
O 0.203 0.198 0.165
O 0.210 0.812 0.337
O 0.165 0.411 0.556
O 0.232 0.635 0.985
O 0.822 0.410 0.033
O 0.779 0.968 0.251
O 0.798 0.578 0.421
O 0.793 0.173 0.624
O 0.795 0.807 0.873
F 0.220 0.994 0.736